Computed, not measured: CdSO4 after structural relaxation at the r2SCAN level of DFT.

abc: 4.8906 4.8906 7.1838
angles: 90.00 90.00 113.81
Last column: nearest neighbours and their distance in Å.
Fractional coordinates of all 12 atoms:
Cd: 0.0000 0.0000 0.0000  6 O 2.26-2.33
Cd: 0.0000 0.0000 0.5000  6 O 2.26-2.33
S: 0.3618 0.6382 0.7500  4 O 1.46-1.50
S: 0.6382 0.3618 0.2500  4 O 1.46-1.50
O: 0.2421 0.3038 0.7500  1 S 1.50
O: 0.2664 0.7336 0.5790  1 S 1.46
O: 0.2664 0.7336 0.9210  1 S 1.46
O: 0.3038 0.2421 0.2500  1 S 1.50
O: 0.6962 0.7579 0.7500  1 S 1.50
O: 0.7336 0.2664 0.0790  1 S 1.46
O: 0.7336 0.2664 0.4210  1 S 1.46
O: 0.7579 0.6962 0.2500  1 S 1.50

Results
**DFT formation energy**: -1.54 eV per atom
**V**: 78.60 Å³/f.u.

Computed, not measured: CdSe2O5 after structural relaxation at the r2SCAN level of DFT.

abc: 6.9916 6.9916 6.0098
angles: 106.53 106.53 109.19
Last column: nearest neighbours and their distance in Å.
Fractional coordinates of all 16 atoms:
Cd: 0.0889 0.9111 0.7500  6 O 2.28-2.32
Cd: 0.9111 0.0889 0.2500  6 O 2.28-2.32
Se: 0.2139 0.4972 0.8843  3 O 1.67-1.83
Se: 0.4972 0.2139 0.3843  3 O 1.67-1.83
Se: 0.5028 0.7861 0.6157  3 O 1.67-1.83
Se: 0.7861 0.5028 0.1157  3 O 1.67-1.83
O: 0.0200 0.5764 0.7721  1 Se 1.67
O: 0.0955 0.2250 0.6850  1 Se 1.69
O: 0.2250 0.0955 0.1850  1 Se 1.69
O: 0.4142 0.5858 0.7500  2 Se 1.83
O: 0.4236 0.9800 0.7279  1 Se 1.67
O: 0.5764 0.0200 0.2721  1 Se 1.67
O: 0.5858 0.4142 0.2500  2 Se 1.83
O: 0.7750 0.9045 0.8150  1 Se 1.69
O: 0.9045 0.7750 0.3150  1 Se 1.69
O: 0.9800 0.4236 0.2279  1 Se 1.67

Results
**DFT formation energy**: -0.98 eV per atom
**V**: 120.84 Å³/f.u.

- The lowest DFT formation energy belongs to which entry?
  CdSO4

What did the first record say?
Computed, not measured: CdSO4 after structural relaxation at the r2SCAN level of DFT.

abc: 4.8906 4.8906 7.1838
angles: 90.00 90.00 113.81
Last column: nearest neighbours and their distance in Å.
Fractional coordinates of all 12 atoms:
Cd: 0.0000 0.0000 0.0000  6 O 2.26-2.33
Cd: 0.0000 0.0000 0.5000  6 O 2.26-2.33
S: 0.3618 0.6382 0.7500  4 O 1.46-1.50
S: 0.6382 0.3618 0.2500  4 O 1.46-1.50
O: 0.2421 0.3038 0.7500  1 S 1.50
O: 0.2664 0.7336 0.5790  1 S 1.46
O: 0.2664 0.7336 0.9210  1 S 1.46
O: 0.3038 0.2421 0.2500  1 S 1.50
O: 0.6962 0.7579 0.7500  1 S 1.50
O: 0.7336 0.2664 0.0790  1 S 1.46
O: 0.7336 0.2664 0.4210  1 S 1.46
O: 0.7579 0.6962 0.2500  1 S 1.50

Results
**DFT formation energy**: -1.54 eV per atom
**V**: 78.60 Å³/f.u.

Repeat the second record exactly.
Computed, not measured: CdSe2O5 after structural relaxation at the r2SCAN level of DFT.

abc: 6.9916 6.9916 6.0098
angles: 106.53 106.53 109.19
Last column: nearest neighbours and their distance in Å.
Fractional coordinates of all 16 atoms:
Cd: 0.0889 0.9111 0.7500  6 O 2.28-2.32
Cd: 0.9111 0.0889 0.2500  6 O 2.28-2.32
Se: 0.2139 0.4972 0.8843  3 O 1.67-1.83
Se: 0.4972 0.2139 0.3843  3 O 1.67-1.83
Se: 0.5028 0.7861 0.6157  3 O 1.67-1.83
Se: 0.7861 0.5028 0.1157  3 O 1.67-1.83
O: 0.0200 0.5764 0.7721  1 Se 1.67
O: 0.0955 0.2250 0.6850  1 Se 1.69
O: 0.2250 0.0955 0.1850  1 Se 1.69
O: 0.4142 0.5858 0.7500  2 Se 1.83
O: 0.4236 0.9800 0.7279  1 Se 1.67
O: 0.5764 0.0200 0.2721  1 Se 1.67
O: 0.5858 0.4142 0.2500  2 Se 1.83
O: 0.7750 0.9045 0.8150  1 Se 1.69
O: 0.9045 0.7750 0.3150  1 Se 1.69
O: 0.9800 0.4236 0.2279  1 Se 1.67

Results
**DFT formation energy**: -0.98 eV per atom
**V**: 120.84 Å³/f.u.

- V of number 2 (CdSe2O5)?
  120.84 Å³/f.u.